Entry 1:
The following is a r2SCAN calculation of crystalline PrRh at its relaxed geometry, from the Materials Project.

Structure (extended XYZ):
```
8
Lattice="3.980 0.000 0.000 0.000 11.124 0.000 0.000 0.000 4.202" Properties=species:S:1:pos:R:3 pbc="T T T"
Pr 0.000 1.567 1.051
Pr 0.000 9.557 3.152
Pr 1.990 3.995 3.152
Pr 1.990 7.129 1.051
Rh 0.000 4.626 1.051
Rh 0.000 6.499 3.152
Rh 1.990 0.937 3.152
Rh 1.990 10.188 1.051
```

Results
space group = Cmcm, No. 63
energy relative to the elements = -0.686 eV/atom

=====

Entry 2:
The following is a r2SCAN calculation of crystalline Ca2TlPb at its relaxed geometry, from the Materials Project.

Structure (extended XYZ):
```
16
Lattice="7.789 0.000 0.000 0.000 7.789 0.000 0.000 0.000 7.789" Properties=species:S:1:pos:R:3 pbc="T T T"
Ca 1.947 1.947 1.947
Ca 1.947 1.947 5.841
Ca 1.947 5.841 1.947
Ca 1.947 5.841 5.841
Ca 5.841 1.947 1.947
Ca 5.841 1.947 5.841
Ca 5.841 5.841 1.947
Ca 5.841 5.841 5.841
Tl 0.000 0.000 0.000
Tl 0.000 3.894 3.894
Tl 3.894 0.000 3.894
Tl 3.894 3.894 0.000
Pb 0.000 0.000 3.894
Pb 0.000 3.894 0.000
Pb 3.894 0.000 0.000
Pb 3.894 3.894 3.894
```

Results
space group = Fm-3m, No. 225
energy relative to the elements = -0.586 eV/atom

=====

Entry 3:
The following is a r2SCAN calculation of crystalline TbMn6Sn6 at its relaxed geometry, from the Materials Project.

Structure (extended XYZ):
```
13
Lattice="5.693 0.000 0.000 -2.847 4.930 0.000 0.000 0.000 9.171" Properties=species:S:1:pos:R:3 pbc="T T T"
Tb 0.000 0.000 0.000
Mn -1.423 2.465 2.263
Mn -1.423 2.465 6.907
Mn 2.847 0.000 2.263
Mn 2.847 0.000 6.907
Mn 1.423 2.465 2.263
Mn 1.423 2.465 6.907
Sn 0.000 0.000 3.081
Sn 0.000 0.000 6.090
Sn 0.000 3.287 0.000
Sn 0.000 3.287 4.585
Sn 2.847 1.643 0.000
Sn 2.847 1.643 4.585
```

Results
space group = P6/mmm, No. 191
energy relative to the elements = -0.263 eV/atom